(1)
Entry from Materials Project: Mn2PtC12O12 after structural relaxation (PBE with a Hubbard U).

Results
**E_form**: -0.790 eV/atom
**E_tot**: -7.56 eV per atom
**Magnetization**: 0.0 Bohr magnetons per cell
**Space group**: P-1 (2)

a = 6.6900 Å, b = 7.5568 Å, c = 10.1995 Å
α = 69.89°, β = 83.85°, γ = 86.11°
Closest atoms and distances in Å follow each position.
Element x y z (fractional)
Mn: 0.2073 0.1134 0.7308  5 C 1.81-1.86
Mn: 0.7927 0.8866 0.2692  5 C 1.81-1.86
Pt: 0.0000 0.0000 0.0000  2 C 1.90
C: 0.9747 0.2525 0.6697  1 O 1.16
C: 0.3446 0.1899 0.5593  1 O 1.16
C: 0.4213 0.9614 0.8142  1 O 1.16
C: 0.8945 0.2504 0.9668  1 O 1.16
C: 0.5787 0.0386 0.1858  1 O 1.16
C: 0.6554 0.8101 0.4407  1 O 1.16
C: 0.9025 0.0918 0.2930  1 O 1.16
C: 0.0253 0.7475 0.3303  1 O 1.16
C: 0.1055 0.7496 0.0332  1 O 1.16
C: 0.7049 0.6937 0.2169  1 O 1.16
C: 0.2951 0.3063 0.7831  1 O 1.16
C: 0.0975 0.9082 0.7070  1 O 1.16
O: 0.5652 0.7629 0.5501  1 C 1.16
O: 0.4348 0.2371 0.4499  1 C 1.16
O: 0.9705 0.2161 0.3131  1 C 1.16
O: 0.3544 0.4263 0.8131  1 C 1.16
O: 0.1702 0.5973 0.0544  1 C 1.16
O: 0.5592 0.8704 0.8620  1 C 1.16
O: 0.4408 0.1296 0.1380  1 C 1.16
O: 0.8307 0.3378 0.6272  1 C 1.16
O: 0.0295 0.7839 0.6869  1 C 1.16
O: 0.1693 0.6622 0.3728  1 C 1.16
O: 0.6456 0.5737 0.1869  1 C 1.16
O: 0.8298 0.4027 0.9456  1 C 1.16



(2)
Entry from Materials Project: Mn4C15S4O15 after structural relaxation (PBE with a Hubbard U).

Results
**E_form**: -0.729 eV/atom
**E_tot**: -7.23 eV per atom
**Magnetization**: 0.1 Bohr magnetons per cell
**Space group**: P2_1/c (14)

a = 15.6933 Å, b = 9.4220 Å, c = 18.4240 Å
α = 84.08°, β = 90.00°, γ = 90.00°
Closest atoms and distances in Å follow each position.
Element x y z (fractional)
Mn: 0.6121 0.7724 0.8827  5 C 1.86-1.90
Mn: 0.3879 0.2276 0.1173  5 C 1.86-1.90
Mn: 0.1121 0.2276 0.6173  5 C 1.86-1.90
Mn: 0.5550 0.9556 0.2581  3 C 1.82
Mn: 0.5286 0.2694 0.3911  4 C 1.83-1.88
Mn: 0.1419 0.7038 0.3096  3 C 1.82-1.83
Mn: 0.0550 0.0444 0.2419  3 C 1.82
Mn: 0.8879 0.7724 0.3827  5 C 1.86-1.90
Mn: 0.3581 0.7038 0.8096  3 C 1.82-1.83
Mn: 0.9714 0.2694 0.8911  4 C 1.83-1.88
Mn: 0.4450 0.0444 0.7419  3 C 1.82
Mn: 0.4714 0.7306 0.6089  4 C 1.83-1.88
Mn: 0.9450 0.9556 0.7581  3 C 1.82
Mn: 0.6419 0.2962 0.1904  3 C 1.82-1.83
Mn: 0.8581 0.2962 0.6904  3 C 1.82-1.83
Mn: 0.0286 0.7306 0.1089  4 C 1.83-1.88
C: 0.8831 0.4417 0.6209  1 O 1.17
C: 0.2001 0.7883 0.3797  1 O 1.16
C: 0.0527 0.8867 0.7737  1 O 1.16
C: 0.0282 0.4314 0.9108  1 O 1.16
C: 0.0286 0.2283 0.5434  1 O 1.15
C: 0.5986 0.5720 0.8812  1 O 1.15
C: 0.2658 0.6047 0.7816  1 O 1.16
C: 0.3183 0.2245 0.2012  1 O 1.15
C: 0.1169 0.5583 0.3791  1 O 1.17
C: 0.1371 0.6472 0.1026  1 O 1.16
C: 0.9070 0.7833 0.7990  1 O 1.17
C: 0.0930 0.2167 0.2010  1 O 1.17
C: 0.0986 0.4280 0.6188  1 O 1.15
C: 0.8629 0.3528 0.8974  1 O 1.16
C: 0.7028 0.7397 0.9470  1 O 1.16
C: 0.4714 0.2283 0.0434  1 O 1.15
C: 0.8720 0.9712 0.3867  1 O 1.15
C: 0.4070 0.2167 0.7010  1 O 1.17
C: 0.0359 0.7993 0.0122  1 O 1.16
C: 0.9714 0.7717 0.4566  1 O 1.15
C: 0.7001 0.2117 0.1203  1 O 1.16
C: 0.6280 0.9712 0.8867  1 O 1.15
C: 0.5359 0.2007 0.4878  1 O 1.16
C: 0.4473 0.8867 0.2737  1 O 1.16
C: 0.0737 0.0979 0.3328  1 O 1.17
C: 0.0761 0.1746 0.8852  1 O 1.16
C: 0.7999 0.2117 0.6203  1 O 1.16
C: 0.5282 0.5686 0.5892  1 O 1.16
C: 0.5286 0.7717 0.9566  1 O 1.15
C: 0.6169 0.4417 0.1209  1 O 1.17
C: 0.7658 0.3953 0.7184  1 O 1.16
C: 0.2028 0.2603 0.5530  1 O 1.16
C: 0.3720 0.0288 0.1133  1 O 1.15
C: 0.2999 0.7883 0.8797  1 O 1.16
C: 0.4014 0.4280 0.1188  1 O 1.15
C: 0.7972 0.7397 0.4470  1 O 1.16
C: 0.4239 0.1746 0.3852  1 O 1.16
C: 0.9718 0.5686 0.0892  1 O 1.16
C: 0.9641 0.2007 0.9878  1 O 1.16
C: 0.9263 0.9021 0.6672  1 O 1.17
C: 0.1817 0.2245 0.7012  1 O 1.15
C: 0.7342 0.3953 0.2184  1 O 1.16
C: 0.4263 0.0979 0.8328  1 O 1.17
C: 0.6817 0.7755 0.7988  1 O 1.15
C: 0.1280 0.0288 0.6133  1 O 1.15
C: 0.4718 0.4314 0.4108  1 O 1.16
C: 0.6371 0.3528 0.3974  1 O 1.16
C: 0.2972 0.2603 0.0530  1 O 1.16
C: 0.3831 0.5583 0.8791  1 O 1.17
C: 0.9239 0.8254 0.1148  1 O 1.16
C: 0.9473 0.1133 0.2263  1 O 1.16
C: 0.3629 0.6472 0.6026  1 O 1.16
C: 0.5737 0.9021 0.1672  1 O 1.17
C: 0.8183 0.7755 0.2988  1 O 1.15
C: 0.5930 0.7833 0.2990  1 O 1.17
C: 0.9014 0.5720 0.3812  1 O 1.15
C: 0.5761 0.8254 0.6148  1 O 1.16
C: 0.2342 0.6047 0.2816  1 O 1.16
C: 0.5527 0.1133 0.7263  1 O 1.16
C: 0.4641 0.7993 0.5122  1 O 1.16
S: 0.4747 0.6465 0.7355  1 S 2.10
S: 0.0075 0.8167 0.2991  1 S 2.10
S: 0.0253 0.6465 0.2355  1 S 2.10
S: 0.8194 0.0921 0.7738  1 S 2.08
S: 0.5075 0.1833 0.2009  1 S 2.10
S: 0.1806 0.9079 0.2262  1 S 2.08
S: 0.4925 0.8167 0.7991  1 S 2.10
S: 0.5253 0.3535 0.2645  1 S 2.10
S: 0.9747 0.3535 0.7645  1 S 2.10
S: 0.9925 0.1833 0.7009  1 S 2.10
S: 0.3194 0.9079 0.7262  1 S 2.08
S: 0.6806 0.0921 0.2738  1 S 2.08
S: 0.4017 0.9433 0.6374  1 S 2.08
S: 0.9017 0.0567 0.8626  1 S 2.08
S: 0.0983 0.9433 0.1374  1 S 2.08
S: 0.5983 0.0567 0.3626  1 S 2.08
O: 0.9595 0.1548 0.0485  1 C 1.16
O: 0.7960 0.4015 0.9043  1 C 1.16
O: 0.6130 0.6705 0.3256  1 C 1.17
O: 0.4099 0.1323 0.8903  1 C 1.17
O: 0.5259 0.2275 0.0015  1 C 1.15
O: 0.9099 0.8677 0.6097  1 C 1.17
O: 0.9067 0.4499 0.3820  1 C 1.15
O: 0.6411 0.8833 0.6145  1 C 1.16
O: 0.2645 0.8374 0.9267  1 C 1.16
O: 0.5666 0.4692 0.5758  1 C 1.16
O: 0.3589 0.1167 0.3855  1 C 1.16
O: 0.3794 0.8401 0.2852  1 C 1.16
O: 0.2779 0.2254 0.2533  1 C 1.15
O: 0.2221 0.2254 0.7533  1 C 1.15
O: 0.7599 0.7196 0.9862  1 C 1.16
O: 0.9741 0.2275 0.5015  1 C 1.15
O: 0.2960 0.5985 0.5957  1 C 1.16
O: 0.3870 0.3295 0.6744  1 C 1.17
O: 0.7221 0.7746 0.7467  1 C 1.15
O: 0.7645 0.1626 0.5733  1 C 1.16
O: 0.0405 0.8452 0.9515  1 C 1.16
O: 0.4595 0.8452 0.4515  1 C 1.16
O: 0.7071 0.4606 0.7349  1 C 1.16
O: 0.6206 0.1599 0.7148  1 C 1.16
O: 0.7929 0.4606 0.2349  1 C 1.16
O: 0.0933 0.5501 0.6180  1 C 1.15
O: 0.1051 0.4674 0.4261  1 C 1.17
O: 0.4067 0.5501 0.1180  1 C 1.15
O: 0.2929 0.5394 0.2651  1 C 1.16
O: 0.8949 0.5326 0.5739  1 C 1.17
O: 0.3599 0.9100 0.1071  1 C 1.15
O: 0.7779 0.7746 0.2467  1 C 1.15
O: 0.1411 0.1167 0.8855  1 C 1.16
O: 0.5901 0.8677 0.1097  1 C 1.17
O: 0.0666 0.5308 0.9242  1 C 1.16
O: 0.6401 0.0900 0.8929  1 C 1.15
O: 0.2599 0.2804 0.5138  1 C 1.16
O: 0.4741 0.7725 0.9985  1 C 1.15
O: 0.4334 0.5308 0.4242  1 C 1.16
O: 0.1130 0.3295 0.1744  1 C 1.17
O: 0.8794 0.1599 0.2148  1 C 1.16
O: 0.2401 0.2804 0.0138  1 C 1.16
O: 0.2040 0.5985 0.0957  1 C 1.16
O: 0.8870 0.6705 0.8256  1 C 1.17
O: 0.8599 0.0900 0.3929  1 C 1.15
O: 0.9334 0.4692 0.0758  1 C 1.16
O: 0.0901 0.1323 0.3903  1 C 1.17
O: 0.7040 0.4015 0.4043  1 C 1.16
O: 0.5405 0.1548 0.5485  1 C 1.16
O: 0.7355 0.1626 0.0733  1 C 1.16
O: 0.3949 0.4674 0.9261  1 C 1.17
O: 0.1401 0.9100 0.6071  1 C 1.15
O: 0.2071 0.5394 0.7651  1 C 1.16
O: 0.2355 0.8374 0.4267  1 C 1.16
O: 0.0259 0.7725 0.4985  1 C 1.15
O: 0.5933 0.4499 0.8820  1 C 1.15
O: 0.7401 0.7196 0.4862  1 C 1.16
O: 0.1206 0.8401 0.7852  1 C 1.16
O: 0.6051 0.5326 0.0739  1 C 1.17
O: 0.8589 0.8833 0.1145  1 C 1.16



(3)
Entry from Materials Project: Sr5Mn4CO13 after structural relaxation (PBE with a Hubbard U).

Results
**E_form**: -2.600 eV/atom
**E_tot**: -7.08 eV per atom
**Magnetization**: 16.0 Bohr magnetons per cell
**Space group**: Pm (6)

a = 3.8244 Å, b = 8.9406 Å, c = 8.9678 Å
α = 89.88°, β = 90.00°, γ = 90.00°
Closest atoms and distances in Å follow each position.
Element x y z (fractional)
Sr: 0.0000 0.9978 0.0002  9 O 2.76-3.02
Sr: 0.0000 0.1752 0.3949  9 O 2.60-2.83
Sr: 0.0000 0.8231 0.6148  9 O 2.62-2.86
Sr: 0.0000 0.3968 0.8214  6 O 2.62-2.67
Sr: 0.0000 0.6130 0.1780  9 O 2.57-2.78
Mn: 0.5000 0.3022 0.1013  5 O 1.92-2.09
Mn: 0.5000 0.7025 0.9040  5 O 1.92-2.08
Mn: 0.5000 0.1018 0.7021  5 O 1.92-2.08
Mn: 0.5000 0.9008 0.3027  5 O 1.92-2.10
C: 0.5000 0.5076 0.5121  3 O 1.30-1.31
O: 0.5000 0.1127 0.2019  2 Mn 1.92-2.10
O: 0.5000 0.8930 0.8040  2 Mn 1.92-2.08
O: 0.5000 0.2067 0.8893  2 Mn 1.92-2.09
O: 0.5000 0.8037 0.1123  2 Mn 1.92-2.08
O: 0.0000 0.3278 0.1452  2 Mn 1.97
O: 0.0000 0.6842 0.8761  2 Mn 1.94
O: 0.0000 0.1334 0.6814  2 Mn 1.94
O: 0.0000 0.8663 0.3257  2 Mn 1.95
O: 0.5000 0.4996 0.9986  2 Mn 1.99-2.00
O: 0.5000 0.9971 0.5037  2 Mn 2.00-2.01
O: 0.5000 0.5857 0.6359  1 C 1.31
O: 0.5000 0.3621 0.5200  1 C 1.30
O: 0.5000 0.5767 0.3846  1 C 1.30



- The lowest E_tot belongs to which entry?
  Mn2PtC12O12